[1]
Computed, not measured: a relaxed Li3V3P8O29 crystal at the PBE+U level of DFT.

## Properties
Energy with MP2020 corrections: -7.633 eV per atom
SG: P1
Total magnetic moment: 0.000 μB/atom
Energy of formation from the pure elements: -2.52 eV per atom

Unit cell a=9.742 b=9.774 c=14.256 alpha=89.87 beta=89.90 gamma=60.19
Positions (direct):
Li1 0.677 0.092 0.445
Li2 0.234 0.672 0.444
Li3 0.907 0.327 0.056
Li4 0.768 0.908 0.055
Li5 0.049 0.972 0.995
Li6 0.020 0.028 0.506
V1 0.564 0.434 0.752
V2 0.436 0.566 0.244
V3 0.002 0.433 0.255
V4 0.002 0.563 0.748
V5 0.430 0.006 0.752
V6 0.560 0.000 0.252
P1 0.219 0.086 0.158
P2 0.084 0.221 0.660
P3 0.688 0.090 0.660
P4 0.332 0.335 0.869
P5 0.336 0.337 0.368
P6 0.691 0.223 0.159
P7 0.773 0.310 0.341
P8 0.083 0.690 0.159
P9 0.912 0.313 0.842
P10 0.226 0.687 0.657
P11 0.306 0.778 0.839
P12 0.665 0.668 0.635
P13 0.673 0.664 0.132
P14 0.304 0.914 0.341
P15 0.915 0.776 0.342
P16 0.777 0.910 0.839
O1 0.214 0.990 0.428
O2 0.260 0.087 0.669
O3 0.983 0.233 0.933
O4 0.080 0.261 0.167
O5 0.376 0.086 0.172
O6 0.336 0.183 0.825
O7 0.531 0.088 0.675
O8 0.787 0.981 0.929
O9 0.658 0.083 0.163
O10 0.188 0.335 0.322
O11 0.081 0.381 0.672
O12 0.487 0.187 0.330
O13 0.331 0.334 0.973
O14 0.330 0.345 0.472
O15 0.479 0.336 0.824
O16 0.082 0.534 0.173
O17 0.184 0.477 0.822
O18 0.653 0.262 0.671
O19 0.794 0.203 0.251
O20 0.784 0.216 0.426
O21 0.782 0.221 0.075
O22 0.531 0.381 0.173
O23 0.330 0.488 0.324
O24 0.739 0.347 0.832
O25 0.383 0.530 0.674
O26 0.087 0.652 0.668
O27 0.005 0.200 0.756
O28 0.004 0.204 0.577
O29 0.006 0.777 0.425
O30 0.912 0.345 0.334
O31 0.616 0.466 0.326
O32 0.258 0.655 0.166
O33 0.662 0.522 0.678
O34 0.462 0.618 0.828
O35 0.209 0.797 0.922
O36 0.216 0.767 0.567
O37 0.206 0.800 0.744
O38 0.343 0.739 0.333
O39 0.817 0.512 0.175
O40 0.913 0.469 0.826
O41 0.522 0.665 0.177
O42 0.676 0.654 0.028
O43 0.659 0.671 0.529
O44 0.519 0.818 0.673
O45 0.912 0.619 0.326
O46 0.817 0.662 0.674
O47 0.350 0.911 0.830
O48 0.200 0.000 0.250
O49 0.200 0.012 0.073
O50 0.464 0.916 0.326
O51 0.674 0.812 0.170
O52 0.618 0.913 0.825
O53 0.913 0.738 0.829
O54 0.000 0.785 0.074
O55 0.997 0.798 0.249
O56 0.743 0.917 0.340
O57 0.770 0.017 0.570
O58 0.798 0.000 0.750


[2]
Computed, not measured: a relaxed LiVCdF6 crystal at the PBE+U level of DFT.

## Properties
Energy with MP2020 corrections: -5.580 eV per atom
SG: P-31c
Energy of formation from the pure elements: -2.98 eV per atom

Unit cell a=5.234 b=5.234 c=9.684 alpha=90.00 beta=90.00 gamma=120.00
Positions (direct):
Li1 0.333 0.667 0.750
Li2 0.667 0.333 0.250
V1 0.667 0.333 0.750
V2 0.333 0.667 0.250
Cd1 0.000 0.000 0.500
Cd2 0.000 0.000 0.000
F1 0.653 0.013 0.637
F2 0.347 0.987 0.363
F3 0.987 0.640 0.637
F4 0.653 0.640 0.863
F5 0.013 0.360 0.363
F6 0.347 0.360 0.137
F7 0.360 0.347 0.637
F8 0.987 0.347 0.863
F9 0.640 0.653 0.363
F10 0.013 0.653 0.137
F11 0.360 0.013 0.863
F12 0.640 0.987 0.137


[3]
Computed, not measured: a relaxed MgFe8O8F8 crystal at the PBE+U level of DFT.

## Properties
Energy with MP2020 corrections: -7.068 eV per atom
SG: P1
Total magnetic moment: 0.001 μB/atom
Energy of formation from the pure elements: -2.10 eV per atom

Unit cell a=10.070 b=9.843 c=3.126 alpha=91.81 beta=90.50 gamma=89.22
Positions (direct):
Mg1 0.744 0.001 0.437
Fe1 0.070 0.005 0.001
Fe2 0.012 0.501 0.999
Fe3 0.228 0.270 0.499
Fe4 0.225 0.729 0.510
Fe5 0.505 0.493 0.024
Fe6 0.462 0.997 0.957
Fe7 0.767 0.348 0.480
Fe8 0.745 0.676 0.575
O1 0.109 0.414 0.495
O2 0.123 0.905 0.497
O3 0.167 0.164 0.989
O4 0.150 0.651 0.002
O5 0.578 0.402 0.518
O6 0.642 0.635 0.062
O7 0.872 0.363 0.984
O8 0.911 0.606 0.507
F1 0.346 0.357 0.004
F2 0.343 0.832 0.997
F3 0.395 0.116 0.483
F4 0.395 0.597 0.514
F5 0.572 0.904 0.441
F6 0.669 0.102 0.952
F7 0.797 0.865 0.889
F8 0.924 0.067 0.434


[4]
Computed, not measured: a relaxed Li9Mn2Co5O16 crystal at the PBE+U level of DFT.

## Properties
Energy with MP2020 corrections: -6.478 eV per atom
SG: P1
Total magnetic moment: 0.500 μB/atom
Energy of formation from the pure elements: -1.78 eV per atom

Unit cell a=3.036 b=9.841 c=10.122 alpha=76.57 beta=88.28 gamma=86.50
Positions (direct):
Li1 0.000 0.748 0.871
Li2 0.503 0.499 0.503
Li3 0.001 0.250 0.128
Li4 0.496 0.001 0.745
Li5 0.504 0.501 0.999
Li6 0.000 0.250 0.623
Li7 0.496 0.000 0.253
Li8 0.000 0.752 0.378
Li9 0.500 0.751 0.625
Mn1 0.998 0.997 0.000
Mn2 0.502 0.254 0.873
Co1 0.007 0.501 0.251
Co2 0.999 0.990 0.503
Co3 0.496 0.748 0.127
Co4 0.006 0.513 0.745
Co5 0.500 0.248 0.376
O1 0.473 0.870 0.949
O2 0.995 0.612 0.579
O3 0.505 0.371 0.198
O4 0.971 0.125 0.822
O5 0.953 0.625 0.076
O6 0.474 0.379 0.697
O7 0.010 0.120 0.330
O8 0.480 0.886 0.443
O9 0.525 0.616 0.806
O10 0.991 0.375 0.427
O11 0.533 0.126 0.054
O12 0.003 0.891 0.670
O13 0.026 0.382 0.920
O14 0.529 0.125 0.550
O15 0.038 0.870 0.178
O16 0.484 0.625 0.302


[5]
Computed, not measured: a relaxed Ba4Nd4Ti3MnCu4O22 crystal at the PBE+U level of DFT.

## Properties
Energy with MP2020 corrections: -7.753 eV per atom
SG: P4mm
Total magnetic moment: 0.079 μB/atom
Energy of formation from the pure elements: -2.89 eV per atom

Unit cell a=5.557 b=5.557 c=15.978 alpha=90.00 beta=90.00 gamma=90.00
Positions (direct):
Ba1 0.500 0.000 0.764
Ba2 0.000 0.500 0.764
Ba3 0.500 0.000 0.234
Ba4 0.000 0.500 0.234
Nd1 0.500 0.000 0.000
Nd2 0.000 0.500 0.000
Nd3 0.500 0.000 0.502
Nd4 0.000 0.500 0.502
Ti1 0.500 0.500 0.626
Ti2 0.000 0.000 0.375
Ti3 0.500 0.500 0.375
Mn1 0.000 0.000 0.623
Cu1 0.000 0.000 0.891
Cu2 0.500 0.500 0.892
Cu3 0.000 0.000 0.107
Cu4 0.500 0.500 0.108
O1 0.250 0.250 0.904
O2 0.750 0.750 0.904
O3 0.250 0.750 0.904
O4 0.750 0.250 0.904
O5 0.250 0.250 0.096
O6 0.750 0.750 0.096
O7 0.250 0.750 0.096
O8 0.750 0.250 0.096
O9 0.000 0.000 0.740
O10 0.500 0.500 0.742
O11 0.000 0.000 0.259
O12 0.500 0.500 0.258
O13 0.247 0.247 0.612
O14 0.753 0.753 0.612
O15 0.247 0.753 0.612
O16 0.753 0.247 0.612
O17 0.250 0.250 0.388
O18 0.750 0.750 0.388
O19 0.250 0.750 0.388
O20 0.750 0.250 0.388
O21 0.000 0.000 0.502
O22 0.500 0.500 0.501


[6]
Computed, not measured: a relaxed Mn7V5O16 crystal at the PBE+U level of DFT.

## Properties
Energy with MP2020 corrections: -8.997 eV per atom
SG: P-1
Total magnetic moment: 1.500 μB/atom
Energy of formation from the pure elements: -2.26 eV per atom

Unit cell a=6.205 b=12.399 c=16.533 alpha=39.73 beta=53.98 gamma=58.94
Positions (direct):
Mn1 0.138 0.030 0.060
Mn2 0.125 0.527 0.062
Mn3 0.500 0.125 0.250
Mn4 0.118 0.286 0.562
Mn5 0.000 0.125 0.250
Mn6 0.500 0.625 0.250
Mn7 0.119 0.785 0.560
Mn8 0.862 0.220 0.440
Mn9 0.500 0.125 0.750
Mn10 0.495 0.380 0.746
Mn11 0.875 0.723 0.438
Mn12 0.505 0.870 0.754
Mn13 0.881 0.465 0.940
Mn14 0.882 0.964 0.938
V1 0.521 0.252 0.993
V2 0.479 0.998 0.507
V3 0.485 0.377 0.251
V4 0.500 0.738 0.006
V5 0.500 0.512 0.494
V6 0.515 0.873 0.249
V7 0.000 0.625 0.250
V8 0.500 0.625 0.750
V9 0.992 0.378 0.751
V10 0.008 0.872 0.749
O1 0.305 0.060 0.121
O2 0.289 0.296 0.113
O3 0.725 0.063 0.120
O4 0.248 0.560 0.136
O5 0.275 0.187 0.380
O6 0.715 0.313 0.146
O7 0.247 0.450 0.355
O8 0.255 0.789 0.127
O9 0.247 0.043 0.631
O10 0.695 0.190 0.379
O11 0.710 0.559 0.130
O12 0.242 0.340 0.621
O13 0.290 0.691 0.370
O14 0.745 0.461 0.373
O15 0.774 0.035 0.645
O16 0.753 0.800 0.145
O17 0.285 0.937 0.354
O18 0.226 0.215 0.855
O19 0.243 0.550 0.621
O20 0.752 0.690 0.364
O21 0.707 0.339 0.612
O22 0.255 0.807 0.636
O23 0.296 0.435 0.873
O24 0.753 0.207 0.869
O25 0.743 0.553 0.645
O26 0.711 0.954 0.387
O27 0.257 0.697 0.855
O28 0.745 0.443 0.864
O29 0.704 0.815 0.627
O30 0.293 0.911 0.888
O31 0.757 0.700 0.879
O32 0.758 0.910 0.879


[7]
Computed, not measured: a relaxed LiFe4B4O12 crystal at the PBE+U level of DFT.

## Properties
Energy with MP2020 corrections: -8.029 eV per atom
SG: Pc
Total magnetic moment: 0.905 μB/atom
Energy of formation from the pure elements: -2.23 eV per atom

Unit cell a=9.050 b=5.320 c=11.366 alpha=62.62 beta=90.00 gamma=90.00
Positions (direct):
Li1 0.254 0.495 0.154
Li2 0.746 0.495 0.654
Fe1 0.415 0.961 0.878
Fe2 0.407 0.534 0.629
Fe3 0.593 0.534 0.129
Fe4 0.585 0.961 0.378
Fe5 0.918 0.033 0.625
Fe6 0.079 0.468 0.377
Fe7 0.921 0.468 0.877
Fe8 0.082 0.033 0.125
B1 0.421 0.467 0.373
B2 0.577 0.046 0.630
B3 0.423 0.046 0.130
B4 0.579 0.467 0.873
B5 0.920 0.537 0.127
B6 0.918 0.954 0.380
B7 0.082 0.954 0.880
B8 0.080 0.537 0.627
O1 0.282 0.408 0.347
O2 0.439 0.836 0.085
O3 0.293 0.165 0.129
O4 0.448 0.122 0.677
O5 0.543 0.364 0.332
O6 0.457 0.364 0.832
O7 0.447 0.639 0.434
O8 0.553 0.639 0.934
O9 0.707 0.165 0.629
O10 0.561 0.836 0.585
O11 0.552 0.122 0.177
O12 0.786 0.644 0.136
O13 0.718 0.408 0.847
O14 0.966 0.861 0.831
O15 0.942 0.159 0.420
O16 0.779 0.839 0.394
O17 0.931 0.357 0.070
O18 0.069 0.357 0.570
O19 0.050 0.601 0.174
O20 0.950 0.601 0.674
O21 0.034 0.861 0.331
O22 0.221 0.839 0.894
O23 0.058 0.159 0.920
O24 0.214 0.644 0.636


[8]
Computed, not measured: a relaxed Li3Fe5O9 crystal at the PBE+U level of DFT.

## Properties
Energy with MP2020 corrections: -7.216 eV per atom
SG: C2/c
Total magnetic moment: 1.471 μB/atom
Energy of formation from the pure elements: -1.77 eV per atom

Unit cell a=8.826 b=8.826 c=5.362 alpha=89.44 beta=90.56 gamma=99.25
Positions (direct):
Li1 0.327 0.823 0.216
Li2 0.177 0.673 0.716
Li3 0.595 0.595 0.250
Li4 0.405 0.405 0.750
Li5 0.823 0.327 0.284
Li6 0.673 0.177 0.784
Fe1 0.692 0.977 0.211
Fe2 0.023 0.308 0.711
Fe3 0.218 0.455 0.207
Fe4 0.545 0.782 0.707
Fe5 0.068 0.068 0.250
Fe6 0.932 0.932 0.750
Fe7 0.455 0.218 0.293
Fe8 0.782 0.545 0.793
Fe9 0.977 0.692 0.289
Fe10 0.308 0.023 0.789
O1 0.018 0.862 0.078
O2 0.138 0.982 0.578
O3 0.180 0.643 0.345
O4 0.357 0.820 0.845
O5 0.543 0.815 0.350
O6 0.185 0.457 0.850
O7 0.085 0.289 0.367
O8 0.711 0.915 0.867
O9 0.425 0.425 0.250
O10 0.575 0.575 0.750
O11 0.289 0.085 0.133
O12 0.915 0.711 0.633
O13 0.815 0.543 0.150
O14 0.457 0.185 0.650
O15 0.643 0.180 0.155
O16 0.820 0.357 0.655
O17 0.862 0.018 0.422
O18 0.982 0.138 0.922


[9]
Computed, not measured: a relaxed Li4Co3O7 crystal at the PBE+U level of DFT.

## Properties
Energy with MP2020 corrections: -6.194 eV per atom
SG: P-1
Total magnetic moment: 0.786 μB/atom
Energy of formation from the pure elements: -1.65 eV per atom

Unit cell a=2.963 b=7.775 c=11.281 alpha=80.21 beta=82.99 gamma=81.04
Positions (direct):
Li1 0.714 0.143 0.933
Li2 0.860 0.571 0.208
Li3 0.000 0.000 0.500
Li4 0.140 0.429 0.792
Li5 0.286 0.857 0.067
Li6 0.430 0.285 0.354
Li7 0.570 0.715 0.646
Li8 0.500 0.500 0.000
Co1 0.929 0.772 0.862
Co2 0.071 0.228 0.138
Co3 0.211 0.643 0.424
Co4 0.353 0.070 0.721
Co5 0.647 0.930 0.279
Co6 0.789 0.357 0.576
O1 0.290 0.956 0.885
O2 0.441 0.382 0.176
O3 0.591 0.819 0.454
O4 0.761 0.242 0.750
O5 0.891 0.693 0.016
O6 0.048 0.109 0.306
O7 0.180 0.524 0.601
O8 0.109 0.307 0.984
O9 0.239 0.758 0.250
O10 0.409 0.181 0.546
O11 0.559 0.618 0.824
O12 0.710 0.044 0.115
O13 0.820 0.476 0.399
O14 0.952 0.891 0.694


[10]
Computed, not measured: a relaxed MgTiMnO4 crystal at the PBE+U level of DFT.

## Properties
Energy with MP2020 corrections: -8.331 eV per atom
SG: Imm2
Total magnetic moment: 0.714 μB/atom
Energy of formation from the pure elements: -2.84 eV per atom

Unit cell a=5.682 b=5.682 c=5.682 alpha=136.51 beta=140.47 gamma=60.22
Positions (direct):
Mg1 0.540 0.540 0.000
Ti1 0.758 0.258 0.500
Mn1 0.964 0.964 0.000
O1 0.559 0.059 0.500
O2 0.280 0.280 0.000
O3 0.971 0.471 0.500
O4 0.749 0.749 0.000


Q: The lowest energy with MP2020 corrections belongs to which entry?
A: Mn7V5O16


Q: What is the formula in the fifth record?
A: Ba4Nd4Ti3MnCu4O22


Please write out number 9 again, unchanged.
Computed, not measured: a relaxed Li4Co3O7 crystal at the PBE+U level of DFT.

## Properties
Energy with MP2020 corrections: -6.194 eV per atom
SG: P-1
Total magnetic moment: 0.786 μB/atom
Energy of formation from the pure elements: -1.65 eV per atom

Unit cell a=2.963 b=7.775 c=11.281 alpha=80.21 beta=82.99 gamma=81.04
Positions (direct):
Li1 0.714 0.143 0.933
Li2 0.860 0.571 0.208
Li3 0.000 0.000 0.500
Li4 0.140 0.429 0.792
Li5 0.286 0.857 0.067
Li6 0.430 0.285 0.354
Li7 0.570 0.715 0.646
Li8 0.500 0.500 0.000
Co1 0.929 0.772 0.862
Co2 0.071 0.228 0.138
Co3 0.211 0.643 0.424
Co4 0.353 0.070 0.721
Co5 0.647 0.930 0.279
Co6 0.789 0.357 0.576
O1 0.290 0.956 0.885
O2 0.441 0.382 0.176
O3 0.591 0.819 0.454
O4 0.761 0.242 0.750
O5 0.891 0.693 0.016
O6 0.048 0.109 0.306
O7 0.180 0.524 0.601
O8 0.109 0.307 0.984
O9 0.239 0.758 0.250
O10 0.409 0.181 0.546
O11 0.559 0.618 0.824
O12 0.710 0.044 0.115
O13 0.820 0.476 0.399
O14 0.952 0.891 0.694


Q: Which formula does entry 5 have?
A: Ba4Nd4Ti3MnCu4O22